(1)
Density functional theory data (PBE-GGA) for a geometry-optimized KNd3 structure.

* calculated formation energy: 1.8 eV per formula unit
* M_tot: 0.109 μB per cell
* final energy: -3.406 eV per atom

Unit cell a=5.3322 b=5.3322 c=11.0194 alpha=90.00 beta=90.00 gamma=90.00
Last column: nearest neighbours and their distance in Å.
Space group I4/mmm (No. 139)
Inequivalent atoms, fractional coordinates:
1 K 0.0000 0.0000 0.0000 [2 per cell]  12 Nd 3.77-3.83
2 Nd 0.0000 0.0000 0.5000 [2 per cell]  4 K 3.77, 8 Nd 3.83
3 Nd 0.0000 0.5000 0.2500 [4 per cell]  8 Nd 3.77-3.83, 4 K 3.83

(2)
Density functional theory data (PBE-GGA) for a geometry-optimized Pr2Ni12P5 structure.

* calculated formation energy: -12.9 eV per formula unit
* final energy: -6.258 eV per atom

Unit cell a=10.8731 b=3.6797 c=13.1497 alpha=90.00 beta=107.92 gamma=90.00
Last column: nearest neighbours and their distance in Å.
Space group P2_1/m (No. 11)
Inequivalent atoms, fractional coordinates:
1 Pr 0.2200 0.2500 0.1831 [2 per cell]  4 P 2.98-3.01, 12 Ni 2.99-3.25
2 Pr 0.2521 0.2500 0.6872 [2 per cell]  7 P 3.06-3.13, 11 Ni 3.21-3.40
3 Ni 0.0618 0.7500 0.2963 [2 per cell]  3 P 2.18-2.32
4 Ni 0.0787 0.7500 0.9903 [2 per cell]  3 P 2.19-2.34
5 Ni 0.0814 0.7500 0.4911 [2 per cell]  4 P 2.20-2.43
6 Ni 0.0953 0.7500 0.8045 [2 per cell]  4 P 2.21-2.42
7 Ni 0.2020 0.2500 0.4188 [2 per cell]  3 P 2.17-2.31, 1 Ni 2.39
8 Ni 0.2131 0.2500 0.9381 [2 per cell]  3 P 2.14-2.32, 1 Ni 2.36
9 Ni 0.3429 0.7500 0.0616 [2 per cell]  2 P 2.20-2.28
10 Ni 0.3436 0.7500 0.3647 [2 per cell]  2 P 2.20-2.28
11 Ni 0.4283 0.2500 0.5145 [2 per cell]  2 P 2.32, 7 Ni 2.39-2.60
12 Ni 0.4341 0.2500 0.9482 [2 per cell]  2 P 2.27, 6 Ni 2.36-2.52
13 Ni 0.4887 0.7500 0.6506 [2 per cell]  3 P 2.26-2.30, 3 Ni 2.49-2.51
14 Ni 0.4930 0.7500 0.8407 [2 per cell]  3 P 2.26-2.30, 3 Ni 2.49-2.52
15 P 0.0061 0.2500 0.8783 [2 per cell]  5 Ni 2.14-2.34
16 P 0.0079 0.7500 0.6292 [2 per cell]  7 Ni 2.17-2.43
17 P 0.2990 0.7500 0.5165 [2 per cell]  7 Ni 2.20-2.32
18 P 0.3105 0.7500 0.8881 [2 per cell]  7 Ni 2.20-2.32
19 P 0.4505 0.7500 0.2401 [2 per cell]  6 Ni 2.28-2.30

(3)
Density functional theory data (PBE-GGA) for a geometry-optimized K2ZnS2 structure.

* calculated formation energy: -6.3 eV per formula unit
* final energy: -3.413 eV per atom

Unit cell a=6.7953 b=12.6693 c=6.2489 alpha=90.00 beta=90.00 gamma=90.00
Last column: nearest neighbours and their distance in Å.
Space group Ibam (No. 72)
Inequivalent atoms, fractional coordinates:
1 K 0.1633 0.1459 0.0000 [8 per cell]  5 S 3.20-3.33, 2 Zn 3.33
2 Zn 0.0000 0.5000 0.2500 [4 per cell]  4 S 2.40
3 S 0.1881 0.3981 0.0000 [8 per cell]  2 Zn 2.40

(4)
Density functional theory data (PBE-GGA) for a geometry-optimized TbFe11Mo structure.

* calculated formation energy: -0.1 eV per formula unit
* M_tot: 42.527 μB per cell
* final energy: -8.367 eV per atom

Unit cell a=4.6996 b=8.4942 c=8.5398 alpha=90.00 beta=90.00 gamma=90.00
Last column: nearest neighbours and their distance in Å.
Space group Imm2 (No. 44)
Inequivalent atoms, fractional coordinates:
1 Tb 0.0000 0.0000 0.0000 [2 per cell]  19 Fe 3.01-3.27, 1 Mo 3.19
2 Fe 0.0000 0.0000 0.6479 [2 per cell]  1 Mo 2.35, 6 Fe 2.59-2.60
3 Fe 0.0000 0.2773 0.5082 [4 per cell]  8 Fe 2.43-2.70, 1 Mo 2.62
4 Fe 0.0000 0.3586 0.0073 [4 per cell]  9 Fe 2.40-2.62
5 Fe 0.0000 0.5000 0.2771 [2 per cell]  8 Fe 2.43-2.60
6 Fe 0.0000 0.5000 0.7340 [2 per cell]  8 Fe 2.44-2.70, 2 Mo 2.63
7 Fe 0.2496 0.2489 0.7556 [8 per cell]  9 Fe 2.35-2.62
8 Mo 0.0000 0.0000 0.3731 [2 per cell]  3 Fe 2.35-2.62

(5)
Density functional theory data (PBE-GGA) for a geometry-optimized ZnC2Br4N6 structure.

* energy relative to the lowest polymorph listed for this composition: 0.0000 eV/atom
* calculated formation energy: 5.6 eV per formula unit
* M_tot: 0.079 μB per cell
* final energy: -5.269 eV per atom

Unit cell a=7.0193 b=7.9402 c=12.6759 alpha=74.20 beta=86.38 gamma=85.94
Last column: nearest neighbours and their distance in Å.
Space group P-1 (No. 2)
Inequivalent atoms, fractional coordinates:
1 Zn 0.0169 0.1248 0.2383 [2 per cell]  2 Br 2.29-2.31
2 C 0.2444 0.2259 0.5380 [2 per cell]  3 N 1.26-1.40
3 C 0.3458 0.1638 0.8831 [2 per cell]  3 N 1.26-1.41
4 Br 0.1061 0.8308 0.2682 [2 per cell]  1 Zn 2.31
5 Br 0.1165 0.4046 0.1984 [2 per cell]  1 Zn 2.29
6 Br 0.2302 0.8340 0.9410 [2 per cell]  1 N 1.97
7 Br 0.2921 0.8738 0.6253 [2 per cell]  1 N 1.98
8 N 0.2221 0.2860 0.9192 [2 per cell]  1 N 1.29, 1 C 1.41
9 N 0.2240 0.4094 0.5064 [2 per cell]  1 N 1.30, 1 C 1.40
10 N 0.2501 0.3336 0.6091 [2 per cell]  1 N 1.30, 1 C 1.40
11 N 0.2506 0.0898 0.5054 [2 per cell]  1 C 1.26
12 N 0.3750 0.3427 0.8625 [2 per cell]  1 N 1.29, 1 C 1.40
13 N 0.4080 0.0179 0.8703 [2 per cell]  1 C 1.26

(6)
Density functional theory data (PBE-GGA) for a geometry-optimized CaTa2Bi2O9 structure.

* energy relative to the lowest polymorph listed for this composition: 0.0413 eV/atom
* calculated formation energy: -39.3 eV per formula unit
* M_tot: 0.002 μB per cell
* final energy: -7.941 eV per atom

Unit cell a=3.9378 b=3.9548 c=13.0547 alpha=94.29 beta=96.40 gamma=90.02
Last column: nearest neighbours and their distance in Å.
Space group P-1 (No. 2)
Inequivalent atoms, fractional coordinates:
1 Ca 0.0000 0.0000 0.0000 [1 per cell]  12 O 2.67-2.79
2 Ta 0.4384 0.4511 0.8398 [2 per cell]  6 O 1.92-2.07
3 Bi 0.2439 0.2636 0.4010 [2 per cell]  3 O 2.21-2.36
4 O 0.0503 0.5379 0.1425 [2 per cell]  2 Ta 1.96-2.00
5 O 0.2555 0.7472 0.4977 [2 per cell]  2 Bi 2.21-2.25
6 O 0.3926 0.4326 0.6918 [2 per cell]  1 Ta 1.92
7 O 0.4565 0.9617 0.8582 [2 per cell]  2 Ta 1.97-2.02
8 O 0.5000 0.5000 0.0000 [1 per cell]  2 Ta 2.07

(7)
Density functional theory data (PBE-GGA) for a geometry-optimized Li3SbCl6 structure.

* calculated formation energy: -15.2 eV per formula unit
* M_tot: 0.000 μB per cell
* final energy: -3.247 eV per atom

Unit cell a=10.2809 b=10.2809 c=10.2809 alpha=90.00 beta=90.00 gamma=90.00
Last column: nearest neighbours and their distance in Å.
Space group Fm-3m (No. 225)
Inequivalent atoms, fractional coordinates:
1 Li 0.0000 0.0000 0.0000 [4 per cell]  6 Cl 2.51
2 Li 0.2500 0.2500 0.2500 [8 per cell]  12 Cl 3.64
3 Sb 0.0000 0.0000 0.5000 [4 per cell]  6 Cl 2.63
4 Cl 0.0000 0.0000 0.2441 [24 per cell]  1 Li 2.51, 1 Sb 2.63